# 1
A plane-wave DFT calculation with GGA+U was carried out for crystalline Fe10O11F9 at its relaxed geometry.

Lattice parameters (Å, degrees): 4.7293 4.7382 15.3870 90.13 90.13 92.26
Last column: nearest neighbours and their distance in Å.
Element x y z (fractional)
F 0.7978 0.1919 0.2996  3 Fe 2.04-2.23
Fe 0.0453 0.9979 0.7999  3 O 1.93-1.95, 2 F 2.09-2.14
F 0.8031 0.1973 0.9008  3 Fe 2.04-2.22
Fe 0.0047 0.9877 0.9967  3 O 1.91-2.02, 3 F 2.03-2.07
O 0.6752 0.6802 0.3976  3 Fe 1.92-1.97
F 0.1950 0.8070 0.1002  3 Fe 2.03-2.13
O 0.3166 0.3160 0.5977  3 Fe 1.93-1.95
Fe 0.0115 0.9957 0.2034  3 O 1.91-2.02, 3 F 2.03-2.07
O 0.6987 0.6948 0.1921  3 Fe 1.92-2.02
O 0.3109 0.3182 0.8047  3 Fe 1.92-1.97
O 0.1918 0.8113 0.9027  3 Fe 1.91-1.97
O 0.1908 0.8014 0.4992  3 Fe 1.93-1.95
O 0.3047 0.3011 0.0079  3 Fe 1.91-2.02
O 0.3091 0.3048 0.1939  3 Fe 1.92-2.01
Fe 0.5052 0.4941 0.0999  4 O 1.91-1.92, 2 F 2.11-2.13
F 0.8113 0.2029 0.7011  3 Fe 2.14-2.21
O 0.1827 0.8041 0.2975  3 Fe 1.91-1.97
Fe 0.4866 0.5319 0.2919  4 O 1.97-2.01, 1 F 2.17
Fe 0.4621 0.4986 0.7023  3 O 1.92-1.96, 2 F 2.13-2.15
O 0.6944 0.6902 0.0064  3 Fe 1.92-2.01
Fe 0.9914 0.9472 0.4002  3 O 1.92-1.95, 2 F 2.11-2.12
Fe 0.0478 0.9995 0.5997  3 O 1.93-1.94, 1 F 2.10
F 0.8030 0.1919 0.4986  3 Fe 2.12-2.22
Fe 0.4788 0.5170 0.4977  3 O 1.95, 2 F 2.07-2.10
F 0.7022 0.7070 0.8022  3 Fe 2.09-2.16
O 0.2045 0.8133 0.7003  3 Fe 1.93-1.96
F 0.7039 0.7068 0.6013  3 Fe 2.10-2.15
F 0.8151 0.1855 0.1000  3 Fe 2.07-2.11
F 0.2867 0.2927 0.3964  3 Fe 2.07-2.17
Fe 0.4690 0.5119 0.9083  4 O 1.97-2.01, 1 F 2.16

Calculated values
Formation energy from the elements (eV/atom): -1.963
Magnetization (μB per formula unit): 49.0

=====

# 2
A plane-wave DFT calculation with GGA+U was carried out for crystalline Fe5O3F7 at its relaxed geometry.

Lattice parameters (Å, degrees): 4.8155 4.8155 15.7147 89.92 89.92 88.64
Last column: nearest neighbours and their distance in Å.
Element x y z (fractional)
F 0.6998 0.6978 0.7943  3 Fe 2.06-2.16
Fe 0.9720 0.0204 0.7997  2 O 1.89-1.92, 3 F 2.06-2.11
Fe 0.5300 0.4914 0.3076  2 O 1.90-1.92, 3 F 2.07-2.11
Fe 0.0193 0.0337 0.6047  2 O 2.04-2.06, 4 F 2.13-2.24
F 0.2123 0.7946 0.7103  3 Fe 2.11-2.21
F 0.2992 0.2981 0.4007  3 Fe 2.07-2.24
Fe 0.5109 0.4877 0.1016  1 O 2.03, 5 F 2.13-2.14
F 0.2960 0.2924 0.9998  3 Fe 2.04-2.14
O 0.8049 0.2008 0.7051  3 Fe 1.89-2.04
Fe 0.5123 0.4891 0.8984  1 O 2.03, 5 F 2.13-2.14
O 0.6709 0.6789 0.4037  3 Fe 1.90-2.06
O 0.8122 0.1856 0.9000  3 Fe 1.91-2.03
O 0.7992 0.1951 0.2949  3 Fe 1.89-2.04
Fe 0.9753 0.0247 0.0000  2 O 1.91, 2 F 2.04
F 0.3022 0.3002 0.2057  3 Fe 2.06-2.16
F 0.3006 0.2968 0.7951  3 Fe 2.08-2.14
Fe 0.9663 0.9807 0.3953  2 O 2.04-2.06, 4 F 2.13-2.24
Fe 0.9796 0.0280 0.2003  2 O 1.89-1.92, 3 F 2.06-2.11
O 0.8144 0.1878 0.1000  3 Fe 1.91-2.03
Fe 0.4975 0.5025 0.5000  2 O 1.93, 4 F 2.00-2.09
F 0.1931 0.8069 0.5000  3 Fe 2.05-2.13
F 0.7032 0.6994 0.2049  3 Fe 2.08-2.14
O 0.3211 0.3291 0.5963  3 Fe 1.90-2.06
F 0.2054 0.7877 0.2897  3 Fe 2.11-2.21
F 0.1944 0.8042 0.9005  3 Fe 2.13-2.17
Fe 0.5086 0.4700 0.6924  2 O 1.90-1.92, 3 F 2.07-2.11
F 0.7940 0.2060 0.5000  3 Fe 2.00-2.13
F 0.1958 0.8056 0.0995  3 Fe 2.13-2.17
F 0.7019 0.7008 0.5993  3 Fe 2.07-2.24
F 0.7076 0.7040 0.0002  3 Fe 2.04-2.14

Calculated values
Formation energy from the elements (eV/atom): -2.230
Magnetization (μB per formula unit): 23.0

=====

# 3
A plane-wave DFT calculation with GGA+U was carried out for crystalline Fe3O2F4 at its relaxed geometry.

Lattice parameters (Å, degrees): 10.8682 10.8682 3.1078 90.00 90.00 144.25
Last column: nearest neighbours and their distance in Å.
Element x y z (fractional)
F 0.3659 0.0440 0.0000  3 Fe 1.99-2.08
O 0.2702 0.7298 0.5000  3 Fe 1.92-2.04
O 0.2984 0.2984 0.0000  3 Fe 1.99-2.05
O 0.7298 0.2702 0.5000  3 Fe 1.92-2.04
Fe 0.8285 0.1715 0.5000  1 O 2.04, 5 F 2.08-2.20
Fe 0.5000 0.5000 0.5000  4 O 2.05, 2 F 2.17
F 0.6048 0.3952 0.5000  3 Fe 2.13-2.17
F 0.3952 0.6048 0.5000  3 Fe 2.13-2.17
O 0.7016 0.7016 0.0000  3 Fe 1.99-2.05
Fe 0.6750 0.3250 0.0000  2 O 1.92, 4 F 1.99-2.13
F 0.9560 0.6341 0.0000  3 Fe 1.99-2.08
F 0.0440 0.3659 0.0000  3 Fe 1.99-2.08
F 0.0653 0.9347 0.5000  3 Fe 2.06-2.20
Fe 0.0000 0.0000 0.0000  2 O 1.99, 4 F 2.06
Fe 0.3250 0.6750 0.0000  2 O 1.92, 4 F 1.99-2.13
F 0.9347 0.0653 0.5000  3 Fe 2.06-2.20
Fe 0.1715 0.8285 0.5000  1 O 2.04, 5 F 2.08-2.20
F 0.6341 0.9560 0.0000  3 Fe 1.99-2.08

Calculated values
Formation energy from the elements (eV/atom): -2.181
Magnetization (μB per formula unit): 14.0